Below is a relaxed Re3Mo crystal, with properties calculated at the PBE level.

Structure (CIF):
```
data_Re3Mo
_symmetry_space_group_name_H-M 'P -6 m 2'
_symmetry_Int_Tables_number 187
_symmetry_space_group_name_Hall 'P -6 2'
_cell_length_a 2.7841
_cell_length_b 2.7841
_cell_length_c 9.1306
_cell_angle_alpha 90.00
_cell_angle_beta 90.00
_cell_angle_gamma 120.00
loop_
_atom_site_label
_atom_site_type_symbol
_atom_site_fract_x
_atom_site_fract_y
_atom_site_fract_z
Re1 Re 0.0000 0.0000 0.0000
Re2 Re 0.6667 0.3333 0.2445
Mo1 Mo 0.0000 0.0000 0.5000
```

## Properties
E_tot: -11.93 eV/atom
Energy relative to the lowest polymorph listed for this composition: 0.0 kJ/mol of formula units